(1)
Compound: Li24Ti5Cr7O36
Source: the Materials Project database
Functional: PBE with a Hubbard U
Structure: relaxed

Structure (POSCAR):
```
Li24Ti5Cr7O36
1.0
5.053 0.000 0.000
-0.795 9.755 0.000
-2.507 -1.912 13.034
Li Ti Cr O
24 5 7 36
Direct
0.000 0.000 0.000 Li
0.001 0.499 0.500 Li
0.115 0.999 0.221 Li
0.124 0.498 0.720 Li
0.233 0.498 0.939 Li
0.242 0.001 0.442 Li
0.284 0.249 0.804 Li
0.285 0.750 0.305 Li
0.325 0.998 0.664 Li
0.338 0.500 0.168 Li
0.451 0.499 0.387 Li
0.456 0.999 0.886 Li
0.566 0.499 0.607 Li
0.570 0.000 0.109 Li
0.615 0.749 0.970 Li
0.617 0.250 0.470 Li
0.660 0.999 0.331 Li
0.665 0.501 0.834 Li
0.779 0.501 0.054 Li
0.786 0.002 0.553 Li
0.900 0.500 0.273 Li
0.903 0.001 0.775 Li
0.950 0.749 0.637 Li
0.951 0.249 0.136 Li
0.059 0.748 0.859 Ti
0.062 0.252 0.360 Ti
0.172 0.747 0.081 Ti
0.728 0.249 0.695 Ti
0.849 0.756 0.415 Ti
0.172 0.249 0.580 Cr
0.390 0.248 0.022 Cr
0.405 0.750 0.527 Cr
0.500 0.748 0.746 Cr
0.508 0.250 0.245 Cr
0.724 0.750 0.194 Cr
0.841 0.250 0.918 Cr
0.018 0.635 0.174 O
0.021 0.133 0.673 O
0.084 0.362 0.028 O
0.098 0.862 0.532 O
0.145 0.637 0.412 O
0.149 0.136 0.913 O
0.218 0.365 0.267 O
0.221 0.865 0.767 O
0.282 0.864 0.983 O
0.283 0.139 0.122 O
0.284 0.639 0.629 O
0.287 0.363 0.483 O
0.352 0.633 0.839 O
0.355 0.135 0.337 O
0.425 0.363 0.697 O
0.436 0.862 0.198 O
0.468 0.138 0.577 O
0.471 0.635 0.076 O
0.542 0.364 0.939 O
0.550 0.866 0.434 O
0.615 0.359 0.148 O
0.617 0.861 0.645 O
0.618 0.637 0.288 O
0.619 0.137 0.794 O
0.680 0.635 0.506 O
0.695 0.135 0.003 O
0.757 0.862 0.861 O
0.762 0.364 0.364 O
0.800 0.137 0.243 O
0.803 0.638 0.742 O
0.878 0.864 0.103 O
0.888 0.364 0.602 O
0.948 0.635 0.958 O
0.951 0.137 0.460 O
0.951 0.362 0.818 O
0.957 0.865 0.317 O
```

Calculated values
The value obtained for the energy is -475.3 eV/cell. As for the energy above the lowest structure with this stoichiometry: 1 meV/atom. Its crystal system is triclinic. Its total moment is 14.0 μB per formula unit.



(2)
Compound: Li2TiCrO4
Source: the Materials Project database
Functional: PBE with a Hubbard U
Structure: relaxed

Structure (POSCAR):
```
Li2TiCrO4
1.0
4.160 -8.609 0.000
4.160 8.609 0.000
-4.159 0.000 4.168
Li Ti Cr O
8 4 4 16
Direct
0.000 0.000 0.000 Li
0.125 0.374 0.000 Li
0.250 0.750 0.500 Li
0.374 0.124 0.498 Li
0.500 0.500 0.000 Li
0.626 0.875 0.000 Li
0.751 0.249 0.500 Li
0.876 0.626 0.502 Li
0.125 0.374 0.499 Ti
0.377 0.126 0.999 Ti
0.626 0.875 0.501 Ti
0.874 0.623 0.001 Ti
0.000 0.000 0.500 Cr
0.250 0.750 0.000 Cr
0.500 0.500 0.500 Cr
0.750 0.250 0.000 Cr
0.022 0.499 0.520 O
0.121 0.879 0.500 O
0.131 0.869 0.000 O
0.250 0.271 0.502 O
0.270 0.249 0.020 O
0.370 0.630 0.000 O
0.381 0.619 0.500 O
0.481 0.001 0.002 O
0.501 0.978 0.480 O
0.620 0.380 0.500 O
0.630 0.370 0.000 O
0.729 0.750 0.498 O
0.751 0.730 0.980 O
0.870 0.130 0.000 O
0.880 0.120 0.500 O
0.999 0.519 0.998 O
```

Calculated values
The value obtained for the energy is -230.6 eV/cell. As for the energy above the lowest structure with this stoichiometry: 6 meV/atom. Its crystal system is monoclinic. Its total moment is 3.6 μB per formula unit.



(3)
Compound: Li24Ti11CrO36
Source: the Materials Project database
Functional: PBE with a Hubbard U
Structure: relaxed

Structure (POSCAR):
```
Li24Ti11CrO36
1.0
7.669 -4.408 0.000
7.669 4.408 0.000
-1.635 0.000 9.687
Li Ti Cr O
24 11 1 36
Direct
0.000 0.000 0.000 Li
0.078 0.755 0.749 Li
0.085 0.082 0.749 Li
0.089 0.412 0.750 Li
0.167 0.165 0.500 Li
0.245 0.922 0.251 Li
0.250 0.250 0.250 Li
0.254 0.579 0.250 Li
0.334 0.333 0.000 Li
0.411 0.089 0.750 Li
0.418 0.415 0.751 Li
0.421 0.746 0.750 Li
0.500 0.500 0.500 Li
0.579 0.255 0.251 Li
0.585 0.582 0.249 Li
0.588 0.911 0.250 Li
0.667 0.666 0.000 Li
0.745 0.421 0.749 Li
0.750 0.750 0.750 Li
0.755 0.079 0.751 Li
0.835 0.833 0.500 Li
0.911 0.589 0.250 Li
0.918 0.915 0.251 Li
0.921 0.245 0.249 Li
0.001 0.666 0.000 Ti
0.163 0.502 0.497 Ti
0.332 0.668 0.000 Ti
0.334 0.999 0.000 Ti
0.498 0.837 0.503 Ti
0.501 0.167 0.500 Ti
0.666 0.001 0.000 Ti
0.668 0.332 0.000 Ti
0.833 0.499 0.500 Ti
0.836 0.164 0.500 Ti
0.999 0.334 0.000 Ti
0.170 0.830 0.500 Cr
0.036 0.393 0.387 O
0.038 0.032 0.386 O
0.058 0.702 0.387 O
0.108 0.464 0.113 O
0.131 0.774 0.113 O
0.132 0.132 0.116 O
0.202 0.201 0.885 O
0.203 0.558 0.887 O
0.226 0.869 0.887 O
0.274 0.636 0.612 O
0.298 0.942 0.613 O
0.299 0.300 0.616 O
0.364 0.726 0.388 O
0.369 0.368 0.385 O
0.392 0.036 0.387 O
0.442 0.797 0.113 O
0.464 0.108 0.113 O
0.465 0.465 0.116 O
0.535 0.535 0.884 O
0.536 0.892 0.887 O
0.559 0.202 0.887 O
0.607 0.964 0.613 O
0.632 0.631 0.615 O
0.633 0.273 0.613 O
0.700 0.701 0.384 O
0.703 0.058 0.387 O
0.727 0.367 0.387 O
0.775 0.131 0.113 O
0.798 0.441 0.113 O
0.799 0.798 0.115 O
0.868 0.868 0.884 O
0.869 0.225 0.887 O
0.892 0.536 0.887 O
0.942 0.297 0.613 O
0.964 0.608 0.613 O
0.968 0.962 0.614 O
```

Calculated values
The value obtained for the energy is -503.8 eV/cell. Its crystal system is monoclinic. Its total moment is 2.0 μB per formula unit.



(4)
Compound: Li24Ti5Cr7O36
Source: the Materials Project database
Functional: PBE with a Hubbard U
Structure: relaxed

Structure (POSCAR):
```
Li24Ti5Cr7O36
1.0
5.058 0.000 0.000
-0.822 9.759 0.000
-2.486 -1.885 13.035
Li Ti Cr O
24 5 7 36
Direct
0.000 0.000 0.000 Li
0.002 0.501 0.500 Li
0.046 0.751 0.862 Li
0.052 0.249 0.363 Li
0.173 0.750 0.082 Li
0.177 0.249 0.583 Li
0.284 0.250 0.803 Li
0.288 0.751 0.304 Li
0.333 0.500 0.166 Li
0.335 0.001 0.665 Li
0.377 0.750 0.528 Li
0.383 0.253 0.030 Li
0.496 0.254 0.250 Li
0.513 0.751 0.749 Li
0.615 0.749 0.969 Li
0.621 0.253 0.470 Li
0.668 0.501 0.832 Li
0.669 0.000 0.332 Li
0.714 0.251 0.696 Li
0.717 0.751 0.196 Li
0.835 0.753 0.416 Li
0.844 0.250 0.915 Li
0.952 0.248 0.135 Li
0.956 0.754 0.638 Li
0.122 0.508 0.723 Ti
0.444 0.998 0.891 Ti
0.776 0.498 0.055 Ti
0.787 0.009 0.557 Ti
0.891 0.499 0.277 Ti
0.106 0.998 0.218 Cr
0.219 0.500 0.943 Cr
0.232 0.000 0.441 Cr
0.441 0.500 0.390 Cr
0.559 0.002 0.114 Cr
0.568 0.501 0.609 Cr
0.887 0.001 0.777 Cr
0.000 0.615 0.178 O
0.005 0.389 0.824 O
0.008 0.117 0.678 O
0.070 0.384 0.036 O
0.073 0.887 0.533 O
0.141 0.113 0.892 O
0.154 0.614 0.395 O
0.188 0.386 0.272 O
0.188 0.890 0.772 O
0.260 0.115 0.135 O
0.268 0.616 0.630 O
0.332 0.389 0.484 O
0.333 0.110 0.346 O
0.335 0.888 0.990 O
0.341 0.616 0.844 O
0.407 0.387 0.699 O
0.412 0.886 0.199 O
0.475 0.612 0.058 O
0.482 0.115 0.560 O
0.518 0.888 0.439 O
0.521 0.389 0.938 O
0.597 0.615 0.300 O
0.607 0.116 0.797 O
0.666 0.386 0.154 O
0.667 0.113 0.014 O
0.672 0.613 0.516 O
0.672 0.890 0.657 O
0.736 0.387 0.370 O
0.737 0.885 0.870 O
0.802 0.113 0.224 O
0.817 0.615 0.727 O
0.851 0.388 0.606 O
0.866 0.888 0.109 O
0.934 0.116 0.463 O
0.940 0.615 0.963 O
0.999 0.888 0.318 O
```

Calculated values
The value obtained for the energy is -475.4 eV/cell. As for the energy above the lowest structure with this stoichiometry: 0 meV/atom. Its crystal system is triclinic. Its total moment is 14.0 μB per formula unit.



(5)
Compound: LiTiCrO4
Source: the Materials Project database
Functional: PBE with a Hubbard U
Structure: relaxed

Structure (POSCAR):
```
LiTiCrO4
1.0
0.000 4.223 -4.223
0.000 4.229 4.229
8.400 0.000 0.000
Li Ti Cr O
4 4 4 16
Direct
0.000 0.250 0.122 Li
0.500 0.750 0.622 Li
0.000 0.750 0.878 Li
0.500 0.250 0.378 Li
0.250 0.750 0.250 Ti
0.750 0.250 0.750 Ti
0.750 0.750 0.250 Ti
0.250 0.250 0.750 Ti
0.500 0.000 0.000 Cr
0.000 0.000 0.500 Cr
0.000 0.500 0.500 Cr
0.500 0.500 0.000 Cr
0.000 0.528 0.258 O
0.500 0.028 0.758 O
0.000 0.972 0.258 O
0.500 0.472 0.758 O
0.000 0.028 0.742 O
0.500 0.528 0.242 O
0.000 0.472 0.742 O
0.500 0.972 0.242 O
0.772 0.750 0.483 O
0.272 0.250 0.983 O
0.228 0.750 0.483 O
0.728 0.250 0.983 O
0.228 0.250 0.517 O
0.728 0.750 0.017 O
0.772 0.250 0.517 O
0.272 0.750 0.017 O
```

Calculated values
The value obtained for the energy is -218.8 eV/cell. As for the energy above the lowest structure with this stoichiometry: 0 meV/atom. Its total moment is 0.0 μB per formula unit.



(6)
Compound: Li32Ti13Cr3O48
Source: the Materials Project database
Functional: PBE with a Hubbard U
Structure: relaxed

Structure (POSCAR):
```
Li32Ti13Cr3O48
1.0
5.085 0.000 0.000
0.028 8.833 0.000
1.612 2.838 19.358
Li Ti Cr O
32 13 3 48
Direct
0.000 0.000 0.000 Li
0.000 0.001 0.500 Li
0.117 0.796 0.625 Li
0.118 0.796 0.125 Li
0.234 0.589 0.250 Li
0.238 0.589 0.750 Li
0.238 0.923 0.751 Li
0.240 0.921 0.250 Li
0.253 0.254 0.250 Li
0.254 0.252 0.750 Li
0.367 0.045 0.875 Li
0.370 0.046 0.375 Li
0.489 0.841 0.000 Li
0.491 0.841 0.500 Li
0.492 0.171 0.500 Li
0.492 0.172 0.001 Li
0.500 0.500 0.501 Li
0.501 0.500 0.001 Li
0.617 0.297 0.625 Li
0.618 0.296 0.125 Li
0.734 0.088 0.251 Li
0.735 0.088 0.751 Li
0.741 0.422 0.750 Li
0.744 0.421 0.250 Li
0.753 0.752 0.750 Li
0.754 0.753 0.251 Li
0.867 0.548 0.875 Li
0.869 0.548 0.375 Li
0.986 0.341 0.000 Li
0.987 0.341 0.500 Li
0.988 0.673 0.500 Li
0.991 0.672 0.000 Li
0.116 0.130 0.125 Ti
0.116 0.463 0.627 Ti
0.119 0.463 0.125 Ti
0.120 0.130 0.625 Ti
0.363 0.380 0.375 Ti
0.368 0.712 0.877 Ti
0.371 0.380 0.875 Ti
0.372 0.713 0.374 Ti
0.617 0.630 0.125 Ti
0.619 0.962 0.125 Ti
0.625 0.962 0.624 Ti
0.864 0.210 0.377 Ti
0.875 0.211 0.874 Ti
0.612 0.631 0.625 Cr
0.863 0.880 0.875 Cr
0.872 0.881 0.375 Cr
0.028 0.059 0.320 O
0.033 0.065 0.818 O
0.063 0.746 0.818 O
0.064 0.386 0.818 O
0.066 0.385 0.319 O
0.069 0.743 0.317 O
0.162 0.850 0.432 O
0.167 0.850 0.932 O
0.172 0.205 0.432 O
0.172 0.206 0.932 O
0.207 0.528 0.932 O
0.209 0.528 0.432 O
0.278 0.315 0.568 O
0.281 0.315 0.069 O
0.315 0.636 0.069 O
0.315 0.993 0.567 O
0.316 0.994 0.067 O
0.323 0.638 0.569 O
0.419 0.097 0.683 O
0.419 0.455 0.682 O
0.420 0.098 0.183 O
0.422 0.456 0.182 O
0.456 0.778 0.182 O
0.458 0.773 0.681 O
0.528 0.565 0.819 O
0.530 0.565 0.318 O
0.565 0.243 0.817 O
0.566 0.244 0.317 O
0.569 0.888 0.320 O
0.572 0.888 0.819 O
0.670 0.347 0.933 O
0.670 0.705 0.932 O
0.672 0.348 0.433 O
0.675 0.709 0.431 O
0.703 0.029 0.432 O
0.708 0.023 0.931 O
0.781 0.815 0.069 O
0.783 0.815 0.569 O
0.813 0.496 0.568 O
0.814 0.136 0.068 O
0.814 0.136 0.569 O
0.815 0.494 0.067 O
0.918 0.600 0.682 O
0.921 0.598 0.183 O
0.922 0.955 0.682 O
0.922 0.956 0.182 O
0.956 0.277 0.182 O
0.957 0.278 0.682 O
```

Calculated values
The value obtained for the energy is -663.8 eV/cell. Its crystal system is triclinic. Its total moment is 6.0 μB per formula unit.